A plane-wave DFT calculation with PBE with a Hubbard U was carried out for CaMn4Co2O12 after structural relaxation.

```
CaMn4Co2O12
1.0
-3.616 1.672 3.086
-2.404 -3.243 3.150
6.172 2.944 8.332
Co O Mn Ca
2 12 4 1
direct
0.970 0.007 0.983
0.026 0.483 0.528
0.419 0.117 0.411
0.670 0.335 0.900
0.988 0.147 0.603
0.332 0.499 0.601
0.731 0.478 0.417
0.635 0.853 0.605
0.335 0.002 0.900
0.927 0.387 0.091
0.606 0.016 0.081
0.059 0.817 0.414
0.006 0.636 0.893
0.256 0.690 0.082
0.694 0.150 0.510
0.360 0.822 0.511
0.638 0.673 0.986
0.299 0.343 0.987
0.849 0.738 0.250
```

Results
V: 12.48 A^3/atom
Crystal system: triclinic
DFT formation energy: -1772.6 meV per atom
Size of the total moment: 18.01 μB per formula unit
Polymorph energy (0 for the lowest one): 3 meV/atom
Symmetry: P1
VASP energy: -127.73 eV per cell

=====

A plane-wave DFT calculation with PBE with a Hubbard U was carried out for Ca3MnCoO6 after structural relaxation.

```
Ca3MnCoO6
1.0
-4.603 2.661 3.567
0.001 -5.325 3.570
4.601 2.659 3.565
O Ca Mn Co
12 6 2 2
direct
0.787 0.585 0.456
0.582 0.454 0.787
0.045 0.918 0.712
0.212 0.417 0.544
0.418 0.547 0.213
0.287 0.953 0.082
0.085 0.287 0.955
0.714 0.046 0.917
0.454 0.787 0.584
0.956 0.084 0.287
0.545 0.214 0.415
0.915 0.713 0.044
0.390 0.111 0.752
0.610 0.889 0.249
0.748 0.389 0.111
0.252 0.611 0.889
0.112 0.750 0.388
0.888 0.249 0.612
0.499 0.501 0.500
0.000 0.001 0.999
0.247 0.249 0.254
0.754 0.747 0.749
```

Results
V: 11.92 A^3/atom
Crystal system: triclinic
DFT formation energy: -2609.7 meV per atom
Size of the total moment: 0.00 μB per formula unit
Symmetry: P1
VASP energy: -146.51 eV per cell

=====

A plane-wave DFT calculation with PBE with a Hubbard U was carried out for NaCa9CoP7O28 after structural relaxation.

```
NaCa9CoP7O28
1.0
12.813 -5.227 0.000
12.813 5.227 0.000
10.681 0.000 8.798
Ca O Co Na P
18 56 2 2 14
direct
0.059 0.091 0.651
0.337 0.935 0.924
0.051 0.028 0.441
0.091 0.651 0.059
0.559 0.151 0.591
0.924 0.337 0.935
0.935 0.924 0.337
0.941 0.528 0.551
0.435 0.837 0.424
0.441 0.051 0.028
0.591 0.559 0.151
0.151 0.591 0.559
0.837 0.424 0.435
0.551 0.941 0.528
0.424 0.435 0.837
0.528 0.551 0.941
0.651 0.059 0.091
0.028 0.441 0.051
0.601 0.353 0.911
0.851 0.120 0.127
0.889 0.740 0.607
0.134 0.883 0.862
0.634 0.362 0.383
0.369 0.646 0.827
0.389 0.107 0.240
0.386 0.826 0.811
0.082 0.744 0.648
0.607 0.889 0.740
0.627 0.620 0.351
0.351 0.627 0.620
0.119 0.650 0.863
0.740 0.607 0.889
0.146 0.869 0.327
0.363 0.150 0.619
0.353 0.911 0.601
0.886 0.311 0.326
0.327 0.146 0.869
0.150 0.619 0.363
0.620 0.351 0.627
0.911 0.601 0.353
0.862 0.134 0.883
0.120 0.127 0.851
0.383 0.634 0.362
0.108 0.388 0.662
0.240 0.389 0.107
0.362 0.383 0.634
0.311 0.326 0.886
0.244 0.582 0.148
0.646 0.827 0.369
0.744 0.648 0.082
0.811 0.386 0.826
0.162 0.888 0.608
0.883 0.862 0.134
0.863 0.119 0.650
0.608 0.162 0.888
0.662 0.108 0.388
0.650 0.863 0.119
0.388 0.662 0.108
0.888 0.608 0.162
0.869 0.327 0.146
0.853 0.101 0.411
0.690 0.690 0.690
0.101 0.411 0.853
0.619 0.363 0.150
0.127 0.851 0.120
0.582 0.148 0.244
0.326 0.886 0.311
0.827 0.369 0.646
0.107 0.240 0.389
0.411 0.853 0.101
0.648 0.082 0.744
0.148 0.244 0.582
0.826 0.811 0.386
0.190 0.190 0.190
0.997 0.997 0.997
0.497 0.497 0.497
0.811 0.811 0.811
0.311 0.311 0.311
0.816 0.774 0.312
0.232 0.232 0.232
0.274 0.316 0.812
0.812 0.274 0.316
0.316 0.812 0.274
0.189 0.226 0.675
0.175 0.726 0.689
0.675 0.189 0.226
0.774 0.312 0.816
0.312 0.816 0.774
0.226 0.675 0.189
0.732 0.732 0.732
0.726 0.689 0.175
0.689 0.175 0.726
```

Results
V: 12.81 A^3/atom
Crystal system: trigonal
DFT formation energy: -3168.1 meV per atom
Size of the total moment: 3.00 μB per formula unit
Symmetry: R3c
VASP energy: -655.55 eV per cell

=====

A plane-wave DFT calculation with PBE with a Hubbard U was carried out for Ca2Nb2CoO9 after structural relaxation.

```
Ca2Nb2CoO9
1.0
-3.744 -3.812 0.482
1.763 -0.565 9.228
-7.691 9.007 11.491
O Nb Co Ca
36 8 4 8
direct
0.289 0.879 0.075
0.429 0.596 0.073
0.214 0.353 0.053
0.296 0.014 0.220
0.207 0.198 0.925
0.720 0.467 0.249
0.571 0.404 0.927
0.786 0.647 0.947
0.220 0.533 0.251
0.204 0.014 0.720
0.780 0.467 0.749
0.707 0.802 0.575
0.209 0.674 0.399
0.796 0.986 0.280
0.704 0.986 0.780
0.286 0.353 0.553
0.924 0.078 0.081
0.425 0.262 0.743
0.791 0.326 0.601
0.575 0.738 0.257
0.071 0.596 0.573
0.576 0.078 0.581
0.424 0.922 0.419
0.280 0.533 0.751
0.211 0.879 0.575
0.075 0.262 0.243
0.929 0.404 0.427
0.925 0.738 0.757
0.709 0.326 0.101
0.076 0.922 0.919
0.789 0.121 0.425
0.714 0.647 0.447
0.293 0.198 0.425
0.711 0.121 0.925
0.793 0.802 0.075
0.291 0.674 0.899
0.520 0.161 0.666
0.980 0.161 0.166
0.020 0.839 0.834
0.498 0.675 0.167
0.502 0.325 0.833
0.002 0.675 0.667
0.998 0.325 0.333
0.480 0.839 0.334
0.000 0.500 0.500
0.500 0.000 0.500
0.000 0.000 0.000
0.500 0.500 0.000
0.492 0.444 0.406
0.477 0.120 0.065
0.992 0.556 0.094
0.008 0.444 0.906
0.977 0.880 0.435
0.523 0.880 0.935
0.023 0.120 0.565
0.508 0.556 0.594
```

Results
V: 12.30 A^3/atom
Crystal system: monoclinic
DFT formation energy: -2723.3 meV per atom
Size of the total moment: 1.00 μB per formula unit
Symmetry: P2_1/c
VASP energy: -424.64 eV per cell